# 1
Compound: LiFe2F5
Source: Materials Project
Functional: PBE with a Hubbard U
Structure: optimized geometry

Properties
Total magnetization   8.00 μB/f.u.
Relative energy among the computed polymorphs   13 meV per atom
Density   3.30 Mg/m³

CIF file:
```
data_LiFe2F5
_space_group_name_H-M_alt 'C m c m'
_space_group_IT_number 63
_space_group_name_Hall '-C 2c 2'
_cell_length_a 3.971
_cell_length_b 10.406
_cell_length_c 10.391
_cell_angle_alpha 90.00
_cell_angle_beta 90.00
_cell_angle_gamma 90.00
loop_
_atom_site_label
_atom_site_type_symbol
_atom_site_fract_x
_atom_site_fract_y
_atom_site_fract_z
Li1 Li 0.000 0.180 0.250
Fe1 Fe 0.000 0.136 0.569
F1 F 0.000 0.055 0.115
F2 F 0.000 0.233 0.750
F3 F 0.000 0.319 0.065
```

=====

# 2
Compound: Li3Fe2F9
Source: Materials Project
Functional: PBE with a Hubbard U
Structure: optimized geometry

Properties
Total magnetization   10.00 μB/f.u.
Relative energy among the computed polymorphs   0 meV per atom
Density   2.91 Mg/m³

CIF file:
```
data_Li3Fe2F9
_space_group_name_H-M_alt 'P -6 2 c'
_space_group_IT_number 190
_space_group_name_Hall 'P -6c -2c'
_cell_length_a 5.1965
_cell_length_b 5.1965
_cell_length_c 14.8271
_cell_angle_alpha 90.00
_cell_angle_beta 90.00
_cell_angle_gamma 120.00
loop_
_atom_site_label
_atom_site_type_symbol
_atom_site_fract_x
_atom_site_fract_y
_atom_site_fract_z
Li1 Li 0.3333 0.6667 0.0208
Li2 Li 0.3333 0.6667 0.2500
Fe1 Fe 0.0000 0.0000 0.1500
F1 F 0.0124 0.7293 0.2500
F2 F 0.0228 0.3310 0.0886
```

=====

# 3
Compound: LiFeF3
Source: Materials Project
Functional: PBE with a Hubbard U
Structure: optimized geometry

Properties
Total magnetization   4.00 μB/f.u.
Relative energy among the computed polymorphs   78 meV per atom
Density   3.30 Mg/m³

CIF file:
```
data_LiFeF3
_space_group_name_H-M_alt 'P 42/n'
_space_group_IT_number 86
_cell_length_a 8.812
_cell_length_b 8.812
_cell_length_c 6.203
_cell_angle_alpha 90.00
_cell_angle_beta 90.00
_cell_angle_gamma 90.00
loop_
_space_group_symop_operation_xyz
'x,y,z'
'-x,-y,-z'
'-y,x+1/2,z+1/2'
'y,-x+1/2,-z+1/2'
'-x+1/2,-y+1/2,z'
'x+1/2,y+1/2,-z'
'y+1/2,-x,z+1/2'
'-y+1/2,x,-z+1/2'
loop_
_atom_site_label
_atom_site_type_symbol
_atom_site_fract_x
_atom_site_fract_y
_atom_site_fract_z
Li1 Li 0.000 0.000 0.000
Li2 Li 0.250 0.250 0.250
Li3 Li 0.250 0.250 0.750
Fe1 Fe 0.086 0.659 0.034
F1 F 0.055 0.064 0.318
F2 F 0.087 0.201 0.921
F3 F 0.117 0.696 0.453
```

=====

# 4
Compound: LiFeF3
Source: Materials Project
Functional: PBE with a Hubbard U
Structure: optimized geometry

Properties
Total magnetization   4.00 μB/f.u.
Relative energy among the computed polymorphs   70 meV per atom
Density   3.36 Mg/m³

CIF file:
```
data_LiFeF3
_space_group_name_H-M_alt 'P 42/n'
_space_group_IT_number 86
_cell_length_a 8.732
_cell_length_b 8.732
_cell_length_c 6.210
_cell_angle_alpha 90.00
_cell_angle_beta 90.00
_cell_angle_gamma 90.00
loop_
_space_group_symop_operation_xyz
'x,y,z'
'-x,-y,-z'
'-y,x+1/2,z+1/2'
'y,-x+1/2,-z+1/2'
'-x+1/2,-y+1/2,z'
'x+1/2,y+1/2,-z'
'y+1/2,-x,z+1/2'
'-y+1/2,x,-z+1/2'
loop_
_atom_site_label
_atom_site_type_symbol
_atom_site_fract_x
_atom_site_fract_y
_atom_site_fract_z
Li1 Li 0.100 0.292 0.086
Fe1 Fe 0.057 0.732 0.353
F1 F 0.077 0.082 0.689
F2 F 0.091 0.297 0.393
F3 F 0.109 0.765 0.982
```